A plane-wave DFT calculation with PBE was carried out for a relaxed structure of VN2Cl6.

```
data_VN2Cl6
_cell_length_a 9.719
_cell_length_b 9.719
_cell_length_c 9.719
_cell_angle_alpha 90.00
_cell_angle_beta 90.00
_cell_angle_gamma 90.00
_symmetry_space_group_name_H-M 'F m -3 m'
_symmetry_Int_Tables_number 225
_symmetry_space_group_name_Hall '-F 4 2 3'
loop_
_atom_site_label
_atom_site_fract_x
_atom_site_fract_y
_atom_site_fract_z
V1 0.000 0.000 0.000
N1 0.250 0.250 0.250
Cl1 0.000 0.000 0.232
```

Computed properties:
Crystal system   cubic

=====

A plane-wave DFT calculation with PBE was carried out for a relaxed structure of VNCl4.

```
data_VNCl4
_cell_length_a 5.998
_cell_length_b 7.674
_cell_length_c 8.220
_cell_angle_alpha 108.14
_cell_angle_beta 93.89
_cell_angle_gamma 112.83
_symmetry_space_group_name_H-M 'P -1'
_symmetry_Int_Tables_number 2
loop_
_symmetry_equiv_pos_as_xyz
'x,y,z'
'-x,-y,-z'
loop_
_atom_site_label
_atom_site_fract_x
_atom_site_fract_y
_atom_site_fract_z
V1 0.242 0.004 0.357
N1 0.412 0.148 0.258
Cl1 0.029 0.193 0.454
Cl2 0.032 0.249 0.876
Cl3 0.418 0.702 0.827
Cl4 0.461 0.799 0.358
```

Computed properties:
Crystal system   triclinic

=====

| no. | raw total energy (eV/atom) | energy of formation from the pure elements (kJ/mol of formula units) |
| --- | --- | --- |
| 1 | -3.47 | 184 |
| 2 | -4.82 | -632 |